# Sr10Al4Si6O

Crystalline Sr10Al4Si6O at its relaxed geometry (PBE, the Materials Project database).

Lattice parameters (Å, degrees): 11.662 11.662 11.662 156.06 110.12 75.05
Element x y z (fractional)
Al1 0.587 0.429 0.157
Al2 0.413 0.571 0.843
Al3 0.272 0.429 0.843
Al4 0.728 0.571 0.157
Sr1 0.156 0.156 0.000
Sr2 0.187 0.000 0.187
Sr3 0.500 0.000 0.500
Sr4 0.530 0.193 0.337
Sr5 0.856 0.193 0.663
Sr6 0.144 0.807 0.337
Sr7 0.844 0.844 0.000
Sr8 0.813 0.000 0.813
Sr9 0.470 0.807 0.663
Sr10 0.000 0.500 0.500
Si1 0.354 0.354 0.000
Si2 0.690 0.368 0.322
Si3 0.646 0.646 0.000
Si4 0.046 0.368 0.678
Si5 0.310 0.632 0.678
Si6 0.954 0.632 0.322
O1 0.000 0.000 0.000

Computed properties:
formation enthalpy at 0 K	-0.64	eV/atom